DFT (r²SCAN) results for a relaxed Na3B6PO13 crystal.

Cell: 9.375 16.106 6.668 Å, 90.00 90.00 90.00°
Sites, in units of the cell vectors:
Na  0.060  0.250  0.247
Na  0.061  0.135  0.744
Na  0.061  0.365  0.744
Na  0.439  0.635  0.244
Na  0.439  0.865  0.244
Na  0.440  0.750  0.747
Na  0.560  0.250  0.253
Na  0.561  0.135  0.756
Na  0.561  0.365  0.756
Na  0.939  0.635  0.256
Na  0.939  0.865  0.256
Na  0.940  0.750  0.753
B  0.064  0.551  0.805
B  0.064  0.949  0.805
B  0.183  0.048  0.311
B  0.183  0.452  0.311
B  0.190  0.670  0.963
B  0.190  0.830  0.963
B  0.310  0.170  0.463
B  0.310  0.330  0.463
B  0.317  0.548  0.811
B  0.317  0.952  0.811
B  0.436  0.051  0.305
B  0.436  0.449  0.305
B  0.564  0.551  0.695
B  0.564  0.949  0.695
B  0.683  0.048  0.189
B  0.683  0.452  0.189
B  0.690  0.670  0.537
B  0.690  0.830  0.537
B  0.810  0.170  0.037
B  0.810  0.330  0.037
B  0.817  0.548  0.689
B  0.817  0.952  0.689
B  0.936  0.051  0.195
B  0.936  0.449  0.195
P  0.190  0.750  0.329
P  0.310  0.250  0.829
P  0.690  0.750  0.171
P  0.810  0.250  0.671
O  0.053  0.750  0.445
O  0.059  0.009  0.253
O  0.059  0.491  0.253
O  0.060  0.624  0.898
O  0.060  0.876  0.898
O  0.170  0.250  0.937
O  0.180  0.122  0.405
O  0.180  0.378  0.405
O  0.187  0.672  0.186
O  0.187  0.828  0.186
O  0.189  0.508  0.767
O  0.189  0.992  0.767
O  0.194  0.750  0.877
O  0.306  0.250  0.377
O  0.311  0.008  0.267
O  0.311  0.492  0.267
O  0.313  0.172  0.686
O  0.313  0.328  0.686
O  0.320  0.622  0.905
O  0.320  0.878  0.905
O  0.330  0.750  0.437
O  0.440  0.124  0.398
O  0.440  0.376  0.398
O  0.441  0.509  0.753
O  0.441  0.991  0.753
O  0.447  0.250  0.945
O  0.553  0.750  0.055
O  0.559  0.009  0.247
O  0.559  0.491  0.247
O  0.560  0.624  0.602
O  0.560  0.876  0.602
O  0.670  0.250  0.563
O  0.680  0.122  0.095
O  0.680  0.378  0.095
O  0.687  0.672  0.314
O  0.687  0.828  0.314
O  0.689  0.508  0.733
O  0.689  0.992  0.733
O  0.694  0.750  0.623
O  0.806  0.250  0.123
O  0.811  0.008  0.233
O  0.811  0.492  0.233
O  0.813  0.172  0.814
O  0.813  0.328  0.814
O  0.820  0.622  0.595
O  0.820  0.878  0.595
O  0.830  0.750  0.063
O  0.940  0.124  0.102
O  0.940  0.376  0.102
O  0.941  0.509  0.747
O  0.941  0.991  0.747
O  0.947  0.250  0.555

- Crystal system: orthorhombic
- Energy of formation from the pure elements: -2.5618 eV/atom